No. 1
First-principles (GGA-PBE) data for crystalline K2Na2Sm4Ta2O13 at its relaxed geometry, as listed in the Materials Project database.

Unit cell a=24.4269 b=5.7204 c=11.3265 alpha=90.00 beta=116.43 gamma=90.00
Space group C2/c (No. 15)
Asymmetric unit:
K  0.2492  0.0512  0.1327 (multiplicity 8)
Na  0.1593  0.4634  0.5236 (multiplicity 8)
Sm  0.0629  0.0457  0.9500 (multiplicity 8)
Sm  0.0626  0.4633  0.6721 (multiplicity 8)
Ta  0.1506  0.0332  0.2822 (multiplicity 8)
O  0.0000  0.2591  0.7500 (multiplicity 4)
O  0.0011  0.2516  0.4772 (multiplicity 8)
O  0.1011  0.2302  0.3404 (multiplicity 8)
O  0.1301  0.1908  0.6382 (multiplicity 8)
O  0.1316  0.2734  0.1407 (multiplicity 8)
O  0.1346  0.2246  0.8771 (multiplicity 8)
O  0.2350  0.0625  0.3756 (multiplicity 8)

Calculated values
Magnetization = 0.0 μB per formula unit
E = -0.571 Ry per atom

***

No. 2
First-principles (GGA-PBE) data for crystalline K4Na2TeO6 at its relaxed geometry, as listed in the Materials Project database.

Unit cell a=6.7662 b=10.0624 c=7.3378 alpha=90.00 beta=122.74 gamma=90.00
Space group P2_1/c (No. 14)
Asymmetric unit:
K  0.0016  0.1772  0.0142 (multiplicity 4)
K  0.1872  0.5122  0.9333 (multiplicity 4)
Na  0.4879  0.2420  0.7143 (multiplicity 4)
Te  0.5000  0.0000  0.0000 (multiplicity 2)
O  0.2490  0.6292  0.3025 (multiplicity 4)
O  0.2778  0.1504  0.8435 (multiplicity 4)
O  0.3883  0.5083  0.7015 (multiplicity 4)

Calculated values
Magnetization = 0.0 μB per formula unit
E = -0.331 Ry per atom

***

No. 3
First-principles (GGA-PBE) data for crystalline K2NaTeO12 at its relaxed geometry, as listed in the Materials Project database.

Unit cell a=23.2602 b=5.7585 c=9.1754 alpha=90.00 beta=110.99 gamma=90.00
Space group C2/m (No. 12)
Asymmetric unit:
K  0.0041  0.0000  0.2589 (multiplicity 4)
K  0.1738  0.5000  0.5454 (multiplicity 4)
Na  0.1807  0.0000  0.8835 (multiplicity 4)
Te  0.0706  0.5000  0.0726 (multiplicity 4)
O  0.0000  0.2752  0.0000 (multiplicity 4)
O  0.0786  0.5000  0.2802 (multiplicity 4)
O  0.0935  0.5000  0.9022 (multiplicity 4)
O  0.1053  0.0000  0.5489 (multiplicity 4)
O  0.1069  0.1966  0.6330 (multiplicity 8)
O  0.1236  0.0000  0.0731 (multiplicity 4)
O  0.1301  0.1939  0.1707 (multiplicity 8)
O  0.2255  0.5000  0.8971 (multiplicity 4)
O  0.2473  0.3907  0.2821 (multiplicity 8)

Calculated values
Magnetization = 3.5 μB per formula unit
E = -0.339 Ry per atom

***

No. 4
First-principles (GGA-PBE) data for crystalline K7NaTe4O32 at its relaxed geometry, as listed in the Materials Project database.

Unit cell a=6.9850 b=14.4277 c=17.4184 alpha=90.00 beta=90.00 gamma=90.00
Space group Immm (No. 71)
Asymmetric unit:
K  0.0000  0.0000  0.0000 (multiplicity 2)
K  0.0000  0.0000  0.1956 (multiplicity 4)
K  0.0000  0.0000  0.3657 (multiplicity 4)
K  0.0000  0.2658  0.5000 (multiplicity 4)
Na  0.0000  0.5000  0.0000 (multiplicity 2)
Te  0.0000  0.3901  0.2303 (multiplicity 8)
O  0.0000  0.1980  0.0805 (multiplicity 8)
O  0.0000  0.3037  0.3088 (multiplicity 8)
O  0.0000  0.5000  0.1501 (multiplicity 4)
O  0.0000  0.5000  0.2995 (multiplicity 4)
O  0.1610  0.1486  0.0838 (multiplicity 16)
O  0.1843  0.0449  0.5000 (multiplicity 8)
O  0.2482  0.3766  0.1932 (multiplicity 16)

Calculated values
Magnetization = 8.0 μB per formula unit
E = -0.345 Ry per atom